[1]
This record from Materials Project describes a relaxed structure of CaCu3O4. The functional is r²SCAN.

```
CaCu3O4
1.0
5.542 0.000 0.000
0.000 5.542 0.000
0.000 0.000 5.542
Ca Cu O
2 6 8
Direct
0.000 0.000 0.000
0.500 0.500 0.500
0.000 0.250 0.500
0.000 0.750 0.500
0.250 0.500 0.000
0.500 0.000 0.250
0.500 0.000 0.750
0.750 0.500 0.000
0.250 0.250 0.250
0.250 0.250 0.750
0.250 0.750 0.250
0.250 0.750 0.750
0.750 0.250 0.250
0.750 0.250 0.750
0.750 0.750 0.250
0.750 0.750 0.750
```

Summary:
Size of the total moment ... 0.00 μB/atom
Total energy ... -149.31 eV for the cell shown

[2]
This record from Materials Project describes a relaxed structure of Ca2Cu2O5. The functional is r²SCAN.

```
Ca2Cu2O5
1.0
10.399 0.000 0.000
0.000 3.523 0.000
0.000 0.000 12.688
Ca Cu O
8 8 20
Direct
0.046 0.176 0.000
0.204 0.175 0.334
0.296 0.675 0.834
0.454 0.676 0.500
0.546 0.324 0.000
0.704 0.325 0.334
0.796 0.825 0.834
0.954 0.824 0.500
0.013 0.359 0.716
0.238 0.138 0.621
0.262 0.638 0.121
0.487 0.859 0.216
0.513 0.141 0.716
0.738 0.362 0.621
0.762 0.862 0.121
0.987 0.641 0.216
0.058 0.674 0.347
0.082 0.336 0.582
0.124 0.363 0.168
0.168 0.157 0.755
0.192 0.673 0.990
0.308 0.173 0.490
0.332 0.657 0.255
0.376 0.863 0.668
0.418 0.836 0.082
0.442 0.174 0.847
0.558 0.826 0.347
0.582 0.164 0.582
0.624 0.137 0.168
0.668 0.343 0.755
0.692 0.827 0.990
0.808 0.327 0.490
0.832 0.843 0.255
0.876 0.637 0.668
0.918 0.664 0.082
0.942 0.326 0.847
```

Summary:
Size of the total moment ... 0.00 μB/atom
Total energy ... -330.26 eV for the cell shown

[3]
This record from Materials Project describes a relaxed structure of CaCuO2. The functional is r²SCAN.

```
CaCuO2
1.0
3.838 0.000 0.000
0.000 3.838 0.000
0.000 0.000 3.165
Ca Cu O
1 1 2
Direct
0.000 0.000 0.000
0.500 0.500 0.500
0.000 0.500 0.500
0.500 0.000 0.500
```

Summary:
Size of the total moment ... 0.04 μB/atom
Total energy ... -37.86 eV for the cell shown

[4]
This record from Materials Project describes a relaxed structure of Ca2CuO3. The functional is r²SCAN.

```
Ca2CuO3
1.0
-1.628 1.894 6.068
1.628 -1.894 6.068
1.628 1.894 -6.068
Ca Cu O
2 1 3
Direct
0.149 0.149 0.000
0.851 0.851 0.000
0.500 0.500 0.000
0.000 0.500 0.500
0.340 0.340 0.000
0.660 0.660 0.000
```

Summary:
Size of the total moment ... 0.04 μB/atom
Total energy ... -57.34 eV for the cell shown

[5]
This record from Materials Project describes a relaxed structure of CaCuP2O7. The functional is r²SCAN.

```
CaCuP2O7
1.0
5.229 0.000 0.000
0.000 8.025 0.000
-4.918 0.000 12.291
Ca Cu P O
4 4 8 28
Direct
0.011 0.177 0.223
0.011 0.323 0.723
0.989 0.677 0.277
0.989 0.823 0.777
0.315 0.640 0.611
0.315 0.860 0.111
0.685 0.140 0.889
0.685 0.360 0.389
0.326 0.201 0.015
0.326 0.299 0.515
0.410 0.028 0.664
0.410 0.472 0.164
0.590 0.528 0.836
0.590 0.972 0.336
0.674 0.701 0.485
0.674 0.799 0.985
0.116 0.185 0.902
0.116 0.315 0.402
0.178 0.044 0.705
0.178 0.456 0.205
0.252 0.102 0.099
0.252 0.398 0.599
0.311 0.106 0.545
0.311 0.394 0.045
0.330 0.623 0.766
0.330 0.877 0.266
0.374 0.665 0.472
0.374 0.835 0.972
0.496 0.650 0.154
0.496 0.850 0.654
0.504 0.150 0.346
0.504 0.350 0.846
0.626 0.165 0.028
0.626 0.335 0.528
0.670 0.123 0.734
0.670 0.377 0.234
0.689 0.606 0.955
0.689 0.894 0.455
0.748 0.602 0.401
0.748 0.898 0.901
0.822 0.544 0.795
0.822 0.956 0.295
0.884 0.685 0.598
0.884 0.815 0.098
```

Summary:
Size of the total moment ... 0.09 μB/atom
Total energy ... -418.44 eV for the cell shown

[6]
This record from Materials Project describes a relaxed structure of Ca3Cu3P4O16. The functional is r²SCAN.

```
Ca3Cu3P4O16
1.0
8.902 0.000 0.000
0.000 4.887 0.000
-7.821 0.000 14.602
Ca Cu P O
6 6 8 32
Direct
0.000 0.000 0.000
0.000 0.500 0.500
0.304 0.035 0.265
0.304 0.465 0.765
0.696 0.535 0.235
0.696 0.965 0.735
0.205 0.530 0.380
0.205 0.970 0.880
0.500 0.000 0.500
0.500 0.500 0.000
0.795 0.030 0.120
0.795 0.470 0.620
0.036 0.517 0.160
0.036 0.983 0.660
0.437 0.511 0.594
0.437 0.989 0.094
0.563 0.011 0.906
0.563 0.489 0.406
0.964 0.017 0.340
0.964 0.483 0.840
0.032 0.671 0.643
0.032 0.829 0.143
0.093 0.142 0.601
0.093 0.358 0.101
0.139 0.573 0.852
0.139 0.927 0.352
0.177 0.034 0.761
0.177 0.466 0.261
0.265 0.558 0.509
0.265 0.942 0.009
0.428 0.192 0.918
0.428 0.308 0.418
0.435 0.600 0.680
0.435 0.900 0.180
0.497 0.212 0.600
0.497 0.288 0.100
0.503 0.712 0.900
0.503 0.788 0.400
0.565 0.100 0.820
0.565 0.400 0.320
0.572 0.692 0.582
0.572 0.808 0.082
0.735 0.058 0.991
0.735 0.442 0.491
0.823 0.534 0.739
0.823 0.966 0.239
0.861 0.073 0.648
0.861 0.427 0.148
0.907 0.642 0.899
0.907 0.858 0.399
0.968 0.171 0.857
0.968 0.329 0.357
```

Summary:
Size of the total moment ... 0.12 μB/atom
Total energy ... -497.72 eV for the cell shown

[7]
This record from Materials Project describes a relaxed structure of CaCu4P2. The functional is r²SCAN.

```
CaCu4P2
1.0
7.249 0.000 0.000
0.000 7.249 0.000
0.000 0.000 3.777
Ca Cu P
2 8 4
Direct
0.000 0.000 0.000
0.500 0.500 0.500
0.084 0.336 0.500
0.164 0.584 0.000
0.336 0.084 0.500
0.416 0.836 0.000
0.584 0.164 0.000
0.664 0.916 0.500
0.836 0.416 0.000
0.916 0.664 0.500
0.219 0.781 0.500
0.281 0.281 0.000
0.719 0.719 0.000
0.781 0.219 0.500
```

Summary:
Size of the total moment ... 0.00 μB/atom
Total energy ... -143.87 eV for the cell shown

[8]
This record from Materials Project describes a relaxed structure of CaCuP. The functional is r²SCAN.

```
CaCuP
1.0
4.014 0.000 0.000
-2.007 3.476 0.000
0.000 0.000 7.894
Ca Cu P
2 2 2
Direct
0.000 0.000 0.000
0.000 0.000 0.500
0.333 0.667 0.250
0.667 0.333 0.750
0.333 0.667 0.750
0.667 0.333 0.250
```

Summary:
Size of the total moment ... 0.00 μB/atom
Total energy ... -59.66 eV for the cell shown

[9]
This record from Materials Project describes a relaxed structure of Ca3Cu8Sn4. The functional is r²SCAN.

```
Ca3Cu8Sn4
1.0
9.084 0.000 0.000
-4.542 7.867 0.000
0.000 0.000 7.715
Ca Cu Sn
6 16 8
Direct
0.048 0.524 0.000
0.476 0.524 0.000
0.476 0.952 0.000
0.524 0.048 0.500
0.524 0.476 0.500
0.952 0.476 0.500
0.000 0.000 0.223
0.000 0.000 0.723
0.100 0.201 0.974
0.100 0.900 0.974
0.162 0.325 0.665
0.162 0.838 0.665
0.201 0.100 0.474
0.325 0.162 0.165
0.333 0.667 0.339
0.667 0.333 0.839
0.675 0.838 0.665
0.799 0.900 0.974
0.838 0.162 0.165
0.838 0.675 0.165
0.900 0.100 0.474
0.900 0.799 0.474
0.168 0.337 0.291
0.168 0.832 0.291
0.333 0.667 0.695
0.337 0.168 0.791
0.663 0.832 0.291
0.667 0.333 0.195
0.832 0.168 0.791
0.832 0.663 0.791
```

Summary:
Size of the total moment ... 0.00 μB/atom
Total energy ... -422.93 eV for the cell shown

[10]
This record from Materials Project describes a relaxed structure of CaCuSn. The functional is r²SCAN.

```
CaCuSn
1.0
-2.289 11.054 3.942
2.289 -11.054 3.942
2.289 11.054 -3.942
Ca Cu Sn
6 6 6
Direct
0.000 0.000 0.000
0.248 0.083 0.165
0.334 0.003 0.331
0.585 0.085 0.500
0.673 0.003 0.669
0.918 0.083 0.835
0.307 0.379 0.928
0.451 0.379 0.072
0.479 0.710 0.769
0.773 0.377 0.396
0.941 0.710 0.231
0.981 0.377 0.604
0.114 0.381 0.733
0.140 0.708 0.432
0.276 0.708 0.568
0.607 0.706 0.900
0.648 0.381 0.267
0.806 0.706 0.100
```

Summary:
Size of the total moment ... 0.00 μB/atom
Total energy ... -264.64 eV for the cell shown

[11]
This record from Materials Project describes a relaxed structure of CaCu2Sn2. The functional is r²SCAN.

```
CaCu2Sn2
1.0
4.210 0.000 0.000
-0.015 4.790 0.000
-2.070 -1.630 5.248
Ca Cu Sn
1 2 2
Direct
0.000 0.000 0.000
0.259 0.864 0.521
0.741 0.136 0.479
0.358 0.429 0.715
0.642 0.571 0.285
```

Summary:
Size of the total moment ... 0.00 μB/atom
Total energy ... -79.92 eV for the cell shown

[12]
This record from Materials Project describes a relaxed structure of CaDyHg2. The functional is r²SCAN.

```
CaDyHg2
1.0
0.000 3.709 3.709
3.709 0.000 3.709
3.709 3.709 0.000
Ca Dy Hg
1 1 2
Direct
0.000 0.000 0.000
0.500 0.500 0.500
0.250 0.250 0.250
0.750 0.750 0.750
```

Summary:
Size of the total moment ... 0.00 μB/atom
Total energy ... -140.16 eV for the cell shown

[13]
This record from Materials Project describes a relaxed structure of SrCaDyMnO6. The functional is r²SCAN.

```
SrCaDyMnO6
1.0
0.000 4.027 4.027
4.027 0.000 4.027
4.027 4.027 0.000
Sr Ca Dy Mn O
1 1 1 1 6
Direct
0.000 0.000 0.000
0.500 0.500 0.500
0.250 0.250 0.250
0.750 0.750 0.750
0.519 0.519 0.981
0.519 0.981 0.519
0.519 0.981 0.981
0.981 0.519 0.519
0.981 0.519 0.981
0.981 0.981 0.519
```

Summary:
Size of the total moment ... 0.35 μB/atom
Total energy ... -132.51 eV for the cell shown

[14]
This record from Materials Project describes a relaxed structure of CaDyRh2. The functional is r²SCAN.

```
CaDyRh2
1.0
0.000 3.391 3.391
3.391 0.000 3.391
3.391 3.391 0.000
Ca Dy Rh
1 1 2
Direct
0.000 0.000 0.000
0.500 0.500 0.500
0.250 0.250 0.250
0.750 0.750 0.750
```

Summary:
Size of the total moment ... 0.00 μB/atom
Total energy ... -89.86 eV for the cell shown

[15]
This record from Materials Project describes a relaxed structure of CaDyZn2. The functional is r²SCAN.

```
CaDyZn2
1.0
0.000 3.584 3.584
3.584 0.000 3.584
3.584 3.584 0.000
Ca Dy Zn
1 1 2
Direct
0.000 0.000 0.000
0.500 0.500 0.500
0.250 0.250 0.250
0.750 0.750 0.750
```

Summary:
Size of the total moment ... 0.00 μB/atom
Total energy ... -58.07 eV for the cell shown

[16]
This record from Materials Project describes a relaxed structure of CaEr2Te4. The functional is r²SCAN.

```
CaEr2Te4
1.0
7.477 0.000 0.000
0.000 4.379 0.000
-2.370 0.000 7.331
Ca Er Te
1 2 4
Direct
0.000 0.000 0.000
0.000 0.500 0.500
0.500 0.000 0.500
0.246 0.000 0.735
0.261 0.500 0.258
0.739 0.500 0.742
0.754 0.000 0.265
```

Summary:
Size of the total moment ... 0.00 μB/atom
Total energy ... -188.54 eV for the cell shown

[17]
This record from Materials Project describes a relaxed structure of CaEuGa2. The functional is r²SCAN.

```
CaEuGa2
1.0
0.000 3.693 3.693
3.693 0.000 3.693
3.693 3.693 0.000
Ca Eu Ga
1 1 2
Direct
0.000 0.000 0.000
0.500 0.500 0.500
0.250 0.250 0.250
0.750 0.750 0.750
```

Summary:
Size of the total moment ... 1.74 μB/atom
Total energy ... -70.44 eV for the cell shown

[18]
This record from Materials Project describes a relaxed structure of CaEuHg2. The functional is r²SCAN.

```
CaEuHg2
1.0
0.000 3.821 3.821
3.821 0.000 3.821
3.821 3.821 0.000
Ca Eu Hg
1 1 2
Direct
0.000 0.000 0.000
0.500 0.500 0.500
0.250 0.250 0.250
0.750 0.750 0.750
```

Summary:
Size of the total moment ... 1.80 μB/atom
Total energy ... -146.70 eV for the cell shown

[19]
This record from Materials Project describes a relaxed structure of CaEuIn2. The functional is r²SCAN.

```
CaEuIn2
1.0
0.000 3.898 3.898
3.898 0.000 3.898
3.898 3.898 0.000
Ca Eu In
1 1 2
Direct
0.000 0.000 0.000
0.500 0.500 0.500
0.250 0.250 0.250
0.750 0.750 0.750
```

Summary:
Size of the total moment ... 1.75 μB/atom
Total energy ... -93.08 eV for the cell shown